[1]
A plane-wave DFT calculation with GGA+U was carried out for an optimized crystal structure of ZnW2O5.

Summary:
DFT total energy (eV for the cell shown): -103.19
ΔH_f (0 K) (eV per atom): -1.499

Unit cell a=4.001 b=11.723 c=6.668 alpha=90.00 beta=90.00 gamma=90.00
Positions (direct):
Zn 0.250 0.250 0.111
Zn 0.750 0.750 0.889
W 0.250 0.590 0.383
W 0.250 0.910 0.383
W 0.750 0.090 0.617
W 0.750 0.410 0.617
O 0.250 0.066 0.537
O 0.250 0.434 0.537
O 0.250 0.574 0.124
O 0.250 0.750 0.462
O 0.250 0.926 0.124
O 0.750 0.074 0.876
O 0.750 0.250 0.538
O 0.750 0.426 0.876
O 0.750 0.566 0.463
O 0.750 0.934 0.463


[2]
A plane-wave DFT calculation with GGA+U was carried out for an optimized crystal structure of ZnW2O4.

Summary:
DFT total energy (eV for the cell shown): -269.56
ΔH_f (0 K) (eV per atom): -1.369

Unit cell a=6.398 b=6.411 c=15.560 alpha=88.23 beta=88.73 gamma=60.91
Positions (direct):
Zn 0.000 0.000 0.000
Zn 0.015 0.989 0.373
Zn 0.182 0.160 0.202
Zn 0.530 0.493 0.878
Zn 0.695 0.666 0.713
Zn 0.843 0.818 0.538
W 0.029 0.501 0.874
W 0.064 0.030 0.745
W 0.182 0.656 0.205
W 0.338 0.314 0.650
W 0.342 0.328 0.030
W 0.348 0.325 0.458
W 0.350 0.820 0.546
W 0.532 0.990 0.869
W 0.673 0.655 0.098
W 0.674 0.650 0.293
W 0.681 0.157 0.205
W 0.843 0.325 0.545
O 0.007 0.984 0.621
O 0.028 0.002 0.132
O 0.047 0.503 0.116
O 0.165 0.142 0.463
O 0.168 0.685 0.464
O 0.182 0.654 0.948
O 0.190 0.172 0.943
O 0.316 0.828 0.293
O 0.339 0.311 0.269
O 0.356 0.330 0.796
O 0.383 0.805 0.795
O 0.489 0.467 0.117
O 0.526 0.029 0.114
O 0.526 0.498 0.631
O 0.526 0.958 0.630
O 0.665 0.171 0.949
O 0.679 0.659 0.478
O 0.696 0.656 0.945
O 0.709 0.142 0.463
O 0.851 0.293 0.293
O 0.860 0.350 0.799
O 0.860 0.833 0.288
O 0.863 0.801 0.795
O 0.981 0.501 0.629


[3]
A plane-wave DFT calculation with GGA+U was carried out for an optimized crystal structure of ZnW2O4.

Summary:
DFT total energy (eV for the cell shown): -273.55
ΔH_f (0 K) (eV per atom): -1.464

Unit cell a=6.473 b=6.473 c=15.323 alpha=90.00 beta=90.00 gamma=120.00
Positions (direct):
Zn 0.000 0.000 0.000
Zn 0.000 0.000 0.238
Zn 0.000 0.000 0.613
Zn 0.333 0.667 0.569
Zn 0.667 0.333 0.279
Zn 0.667 0.333 0.912
W 0.165 0.330 0.786
W 0.165 0.835 0.786
W 0.330 0.165 0.452
W 0.333 0.667 0.350
W 0.333 0.667 0.954
W 0.503 0.005 0.122
W 0.503 0.497 0.122
W 0.667 0.333 0.680
W 0.670 0.835 0.786
W 0.835 0.165 0.452
W 0.835 0.670 0.452
W 0.995 0.497 0.122
O 0.000 0.000 0.377
O 0.000 0.000 0.861
O 0.022 0.511 0.865
O 0.156 0.311 0.533
O 0.156 0.844 0.533
O 0.175 0.350 0.039
O 0.175 0.825 0.039
O 0.307 0.153 0.703
O 0.333 0.667 0.194
O 0.333 0.667 0.709
O 0.348 0.174 0.201
O 0.489 0.511 0.865
O 0.489 0.978 0.865
O 0.512 0.024 0.370
O 0.512 0.488 0.370
O 0.650 0.825 0.039
O 0.667 0.333 0.044
O 0.667 0.333 0.523
O 0.689 0.844 0.533
O 0.826 0.174 0.201
O 0.826 0.652 0.201
O 0.847 0.153 0.703
O 0.847 0.693 0.703
O 0.976 0.488 0.370


[4]
A plane-wave DFT calculation with GGA+U was carried out for an optimized crystal structure of ZnW2O4.

Summary:
DFT total energy (eV for the cell shown): -93.06
ΔH_f (0 K) (eV per atom): -1.598

Unit cell a=3.299 b=7.629 c=7.794 alpha=80.83 beta=79.57 gamma=79.71
Positions (direct):
Zn 0.201 0.074 0.101
Zn 0.799 0.926 0.899
W 0.150 0.183 0.536
W 0.351 0.499 0.811
W 0.649 0.501 0.189
W 0.850 0.817 0.464
O 0.077 0.640 0.264
O 0.250 0.360 0.075
O 0.323 0.987 0.347
O 0.346 0.680 0.600
O 0.654 0.320 0.400
O 0.677 0.013 0.653
O 0.750 0.640 0.925
O 0.923 0.360 0.736


[5]
A plane-wave DFT calculation with GGA+U was carried out for an optimized crystal structure of ZnW2O4.

Summary:
DFT total energy (eV for the cell shown): -90.76
ΔH_f (0 K) (eV per atom): -1.434

Unit cell a=6.284 b=6.284 c=6.284 alpha=62.48 beta=62.48 gamma=62.48
Positions (direct):
Zn 0.000 0.000 0.000
Zn 0.374 0.374 0.374
W 0.492 0.993 0.993
W 0.589 0.589 0.589
W 0.993 0.492 0.993
W 0.993 0.993 0.492
O 0.219 0.756 0.756
O 0.237 0.237 0.237
O 0.237 0.237 0.769
O 0.237 0.769 0.237
O 0.755 0.755 0.755
O 0.756 0.219 0.756
O 0.756 0.756 0.219
O 0.769 0.237 0.237


[6]
A plane-wave DFT calculation with GGA+U was carried out for an optimized crystal structure of Zn2W2O5.

Summary:
DFT total energy (eV for the cell shown): -104.32
ΔH_f (0 K) (eV per atom): -1.255

Unit cell a=5.098 b=13.957 c=3.387 alpha=90.00 beta=90.00 gamma=90.00
Positions (direct):
Zn 0.178 0.164 0.000
Zn 0.322 0.664 0.000
Zn 0.678 0.336 0.000
Zn 0.822 0.836 0.000
W 0.167 0.424 0.500
W 0.333 0.924 0.500
W 0.667 0.076 0.500
W 0.833 0.576 0.500
O 0.000 0.000 0.500
O 0.141 0.670 0.500
O 0.209 0.856 0.000
O 0.291 0.356 0.000
O 0.359 0.170 0.500
O 0.500 0.500 0.500
O 0.641 0.830 0.500
O 0.709 0.644 0.000
O 0.791 0.144 0.000
O 0.859 0.330 0.500


[7]
A plane-wave DFT calculation with GGA+U was carried out for an optimized crystal structure of ZnW2O4.

Summary:
DFT total energy (eV for the cell shown): -92.35
ΔH_f (0 K) (eV per atom): -1.547

Unit cell a=6.404 b=6.404 c=6.404 alpha=60.00 beta=60.00 gamma=60.00
Positions (direct):
Zn 0.125 0.125 0.125
Zn 0.875 0.875 0.875
W 0.000 0.500 0.500
W 0.500 0.000 0.500
W 0.500 0.500 0.000
W 0.500 0.500 0.500
O 0.257 0.257 0.257
O 0.257 0.257 0.728
O 0.257 0.728 0.257
O 0.272 0.743 0.743
O 0.728 0.257 0.257
O 0.743 0.272 0.743
O 0.743 0.743 0.272
O 0.743 0.743 0.743


[8]
A plane-wave DFT calculation with GGA+U was carried out for an optimized crystal structure of ZnWO3.

Summary:
DFT total energy (eV for the cell shown): -59.70
ΔH_f (0 K) (eV per atom): -1.457

Unit cell a=4.072 b=5.703 c=5.603 alpha=90.00 beta=90.00 gamma=90.00
Positions (direct):
Zn 0.000 0.000 0.000
Zn 0.000 0.500 0.500
W 0.500 0.000 0.585
W 0.500 0.500 0.085
O 0.000 0.000 0.623
O 0.000 0.500 0.123
O 0.500 0.246 0.858
O 0.500 0.254 0.358
O 0.500 0.746 0.358
O 0.500 0.754 0.858


[9]
A plane-wave DFT calculation with GGA+U was carried out for an optimized crystal structure of ZnW2O4.

Summary:
DFT total energy (eV for the cell shown): -180.82
ΔH_f (0 K) (eV per atom): -1.409

Unit cell a=5.593 b=6.753 c=10.559 alpha=73.30 beta=89.71 gamma=89.95
Positions (direct):
Zn 0.000 0.000 0.000
Zn 0.168 0.502 0.501
Zn 0.465 0.510 0.002
Zn 0.704 0.001 0.501
W 0.070 0.488 0.770
W 0.073 0.503 0.233
W 0.098 0.004 0.732
W 0.100 0.988 0.268
W 0.584 0.246 0.752
W 0.585 0.746 0.749
W 0.586 0.245 0.249
W 0.586 0.744 0.252
O 0.230 0.186 0.859
O 0.236 0.803 0.142
O 0.253 0.698 0.860
O 0.255 0.297 0.140
O 0.392 0.534 0.651
O 0.393 0.457 0.351
O 0.458 0.946 0.365
O 0.459 0.047 0.636
O 0.710 0.447 0.865
O 0.714 0.546 0.137
O 0.776 0.958 0.850
O 0.779 0.032 0.151
O 0.916 0.195 0.360
O 0.918 0.796 0.639
O 0.936 0.307 0.643
O 0.939 0.687 0.360


[10]
A plane-wave DFT calculation with GGA+U was carried out for an optimized crystal structure of ZnW2O4.

Summary:
DFT total energy (eV for the cell shown): -354.94
ΔH_f (0 K) (eV per atom): -1.289

Unit cell a=6.398 b=6.398 c=21.045 alpha=99.02 beta=99.02 gamma=58.41
Positions (direct):
Zn 0.000 0.000 0.000
Zn 0.041 0.041 0.601
Zn 0.167 0.167 0.472
Zn 0.267 0.267 0.750
Zn 0.305 0.305 0.351
Zn 0.384 0.384 0.210
Zn 0.514 0.514 0.094
Zn 0.789 0.789 0.845
W 0.000 0.525 0.094
W 0.023 0.023 0.198
W 0.265 0.804 0.333
W 0.291 0.795 0.845
W 0.319 0.319 0.933
W 0.525 0.000 0.094
W 0.529 0.529 0.542
W 0.569 0.569 0.678
W 0.572 0.988 0.597
W 0.657 0.657 0.976
W 0.788 0.788 0.271
W 0.795 0.291 0.845
W 0.804 0.265 0.333
W 0.810 0.810 0.409
W 0.925 0.925 0.735
W 0.988 0.572 0.597
O 0.104 0.614 0.793
O 0.113 0.113 0.789
O 0.135 0.135 0.285
O 0.153 0.560 0.281
O 0.177 0.719 0.661
O 0.209 0.685 0.152
O 0.212 0.212 0.149
O 0.222 0.222 0.650
O 0.317 0.317 0.042
O 0.330 0.896 0.535
O 0.340 0.340 0.540
O 0.353 0.811 0.036
O 0.439 0.983 0.400
O 0.487 0.487 0.906
O 0.489 0.489 0.384
O 0.495 0.947 0.912
O 0.560 0.153 0.281
O 0.600 0.600 0.278
O 0.609 0.609 0.790
O 0.614 0.104 0.793
O 0.685 0.209 0.152
O 0.703 0.703 0.154
O 0.719 0.177 0.661
O 0.750 0.750 0.677
O 0.811 0.353 0.036
O 0.838 0.838 0.036
O 0.866 0.866 0.539
O 0.896 0.330 0.535
O 0.947 0.495 0.912
O 0.975 0.975 0.904
O 0.983 0.439 0.400
O 0.991 0.991 0.406


[11]
A plane-wave DFT calculation with GGA+U was carried out for an optimized crystal structure of ZnWO4.

Summary:
DFT total energy (eV for the cell shown): -76.12
ΔH_f (0 K) (eV per atom): -1.873

Unit cell a=6.497 b=6.497 c=6.497 alpha=134.50 beta=134.50 gamma=66.31
Positions (direct):
Zn 0.375 0.125 0.250
Zn 0.625 0.875 0.750
W 0.125 0.375 0.750
W 0.875 0.625 0.250
O 0.027 0.215 0.314
O 0.214 0.527 0.312
O 0.285 0.099 0.812
O 0.401 0.714 0.186
O 0.599 0.286 0.814
O 0.715 0.901 0.188
O 0.786 0.473 0.688
O 0.973 0.785 0.686


[12]
A plane-wave DFT calculation with GGA+U was carried out for an optimized crystal structure of ZnW2O4.

Summary:
DFT total energy (eV for the cell shown): -89.05
ΔH_f (0 K) (eV per atom): -1.311

Unit cell a=6.355 b=6.355 c=6.355 alpha=120.90 beta=117.36 gamma=91.54
Positions (direct):
Zn 0.000 0.000 0.000
Zn 0.500 0.000 0.500
W 0.000 0.000 0.500
W 0.000 0.500 0.000
W 0.402 0.652 0.750
W 0.598 0.348 0.250
O 0.216 0.241 0.975
O 0.233 0.759 0.475
O 0.246 0.234 0.488
O 0.246 0.758 0.012
O 0.754 0.242 0.988
O 0.754 0.766 0.512
O 0.767 0.241 0.525
O 0.784 0.759 0.025


[13]
A plane-wave DFT calculation with GGA+U was carried out for an optimized crystal structure of ZrW2O8.

Summary:
Piezoelectric modulus e_max (C/m²): 0.2
DFT total energy (eV for the cell shown): -351.14
ΔH_f (0 K) (eV per atom): -2.555

Unit cell a=9.364 b=9.364 c=9.364 alpha=90.00 beta=90.00 gamma=90.00
Positions (direct):
Zr 0.002 0.002 0.002
Zr 0.498 0.998 0.502
Zr 0.502 0.498 0.998
Zr 0.998 0.502 0.498
W 0.099 0.901 0.401
W 0.155 0.655 0.845
W 0.345 0.345 0.345
W 0.401 0.099 0.901
W 0.599 0.599 0.599
W 0.655 0.845 0.155
W 0.845 0.155 0.655
W 0.901 0.401 0.099
O 0.011 0.511 0.989
O 0.053 0.795 0.941
O 0.055 0.714 0.433
O 0.059 0.553 0.705
O 0.067 0.945 0.214
O 0.205 0.441 0.447
O 0.214 0.067 0.945
O 0.237 0.237 0.237
O 0.263 0.763 0.737
O 0.286 0.933 0.445
O 0.295 0.559 0.947
O 0.433 0.055 0.714
O 0.441 0.447 0.205
O 0.445 0.286 0.933
O 0.447 0.205 0.441
O 0.489 0.489 0.489
O 0.511 0.989 0.011
O 0.553 0.705 0.059
O 0.555 0.786 0.567
O 0.559 0.947 0.295
O 0.567 0.555 0.786
O 0.705 0.059 0.553
O 0.714 0.433 0.055
O 0.737 0.263 0.763
O 0.763 0.737 0.263
O 0.786 0.567 0.555
O 0.795 0.941 0.053
O 0.933 0.445 0.286
O 0.941 0.053 0.795
O 0.945 0.214 0.067
O 0.947 0.295 0.559
O 0.989 0.011 0.511